# Pr3Ge13Ru4 (PBE, relaxed)
# Energy relative to the elements, eV per atom: -0.4318
# Final energy, eV per atom: -6.009
data_Pr3Ge13Ru4
_chemical_formula_sum 'Pr6 Ge26 Ru8'
_symmetry_space_group_name_H-M 'P m -3 n'
_symmetry_Int_Tables_number 223
_symmetry_space_group_name_Hall '-P 4n 2 3'
_cell_length_a 9.1624
_cell_length_b 9.1624
_cell_length_c 9.1624
_cell_angle_alpha 90.00
_cell_angle_beta 90.00
_cell_angle_gamma 90.00
loop_
_atom_site_label
_atom_site_fract_x
_atom_site_fract_y
_atom_site_fract_z
_atom_site_occupancy
Pr1 0.0000 0.2500 0.5000 1
Ge1 0.0000 0.0000 0.0000 1
Ge2 0.0000 0.2961 0.1465 1
Ru1 0.2500 0.2500 0.2500 1